A plane-wave DFT calculation with GGA-PBE was carried out for a relaxed structure of Ce5Fe2B6.

Properties
- Formation energy: -446 meV/atom
- DFT total energy: -7.11 eV/atom

abc: 5.314 5.314 8.529
angles: 71.85 71.85 60.00
Fractional positions:
Ce1 0.000 0.000 0.000
Ce2 0.747 0.747 0.758
Ce3 0.253 0.253 0.242
Ce4 0.586 0.586 0.243
Ce5 0.414 0.414 0.757
Fe1 0.883 0.883 0.350
Fe2 0.117 0.117 0.650
B1 0.500 0.168 0.500
B2 0.832 0.500 0.500
B3 0.168 0.832 0.500
B4 0.168 0.500 0.500
B5 0.832 0.168 0.500
B6 0.500 0.832 0.500

***

A plane-wave DFT calculation with GGA-PBE was carried out for a relaxed structure of ZnH2S2O8.

Properties
- Formation energy: -1696 meV/atom
- DFT total energy: -5.57 eV/atom

abc: 8.377 4.976 8.315
angles: 62.87 90.00 90.00
Fractional positions:
Zn1 0.500 0.000 0.500
Zn2 0.000 0.000 0.000
H1 0.979 0.443 0.343
H2 0.479 0.557 0.157
H3 0.021 0.557 0.657
H4 0.521 0.443 0.843
S1 0.676 0.661 0.280
S2 0.176 0.339 0.220
S3 0.324 0.339 0.720
S4 0.824 0.661 0.780
O1 0.623 0.916 0.308
O2 0.123 0.084 0.192
O3 0.155 0.303 0.779
O4 0.655 0.697 0.721
O5 0.845 0.697 0.221
O6 0.345 0.303 0.279
O7 0.850 0.367 0.937
O8 0.350 0.633 0.563
O9 0.150 0.633 0.063
O10 0.650 0.367 0.437
O11 0.416 0.330 0.886
O12 0.916 0.670 0.614
O13 0.584 0.670 0.114
O14 0.084 0.330 0.386
O15 0.877 0.916 0.808
O16 0.377 0.084 0.692

***

A plane-wave DFT calculation with GGA-PBE was carried out for a relaxed structure of Li2RhN2.

Properties
- Formation energy: -185 meV/atom
- DFT total energy: -5.61 eV/atom

abc: 3.221 3.222 5.076
angles: 89.98 90.01 120.00
Fractional positions:
Li1 0.667 0.333 0.354
Li2 0.333 0.667 0.646
Rh1 0.000 0.000 0.000
N1 0.667 0.333 0.791
N2 0.333 0.667 0.209

***

A plane-wave DFT calculation with GGA-PBE was carried out for a relaxed structure of MnPtC6N6.

Properties
- Formation energy: 153 meV/atom
- DFT total energy: -8.31 eV/atom

abc: 7.248 7.248 7.248
angles: 60.00 60.00 60.00
Fractional positions:
Mn1 0.500 0.500 0.500
Pt1 0.000 0.000 0.000
C1 0.803 0.197 0.197
C2 0.197 0.803 0.803
C3 0.197 0.803 0.197
C4 0.803 0.197 0.803
C5 0.197 0.197 0.803
C6 0.803 0.803 0.197
N1 0.689 0.311 0.311
N2 0.311 0.689 0.689
N3 0.311 0.689 0.311
N4 0.689 0.311 0.689
N5 0.311 0.311 0.689
N6 0.689 0.689 0.311

***

A plane-wave DFT calculation with GGA-PBE was carried out for a relaxed structure of Sr2CaI6.

Properties
- Energy above the lowest structure with this stoichiometry: 0.024 eV/f.u.
- Formation energy: -1916 meV/atom
- DFT total energy: -3.28 eV/atom

abc: 7.420 8.223 27.455
angles: 90.00 90.00 90.00
Fractional positions:
Sr1 0.000 0.250 0.047
Sr2 0.000 0.750 0.286
Sr3 0.000 0.250 0.714
Sr4 0.000 0.750 0.953
Sr5 0.500 0.250 0.214
Sr6 0.500 0.250 0.547
Sr7 0.500 0.750 0.786
Sr8 0.500 0.750 0.453
Ca1 0.000 0.250 0.380
Ca2 0.000 0.750 0.620
Ca3 0.500 0.250 0.880
Ca4 0.500 0.750 0.120
I1 0.249 0.582 0.040
I2 0.249 0.082 0.960
I3 0.261 0.584 0.202
I4 0.261 0.084 0.798
I5 0.237 0.567 0.372
I6 0.237 0.067 0.628
I7 0.263 0.567 0.872
I8 0.263 0.067 0.128
I9 0.239 0.084 0.298
I10 0.239 0.584 0.702
I11 0.251 0.082 0.460
I12 0.251 0.582 0.540
I13 0.749 0.418 0.460
I14 0.749 0.918 0.540
I15 0.761 0.416 0.298
I16 0.761 0.916 0.702
I17 0.737 0.433 0.128
I18 0.737 0.933 0.872
I19 0.763 0.933 0.372
I20 0.763 0.433 0.628
I21 0.739 0.416 0.798
I22 0.739 0.916 0.202
I23 0.751 0.918 0.040
I24 0.751 0.418 0.960

***

A plane-wave DFT calculation with GGA-PBE was carried out for a relaxed structure of ZnCdSe2.

Properties
- Formation energy: -161 meV/atom
- DFT total energy: -2.22 eV/atom

abc: 4.909 4.909 4.909
angles: 60.00 60.00 60.00
Fractional positions:
Zn1 0.000 0.000 0.000
Cd1 0.500 0.500 0.500
Se1 0.250 0.250 0.250
Se2 0.750 0.750 0.750

***

A plane-wave DFT calculation with GGA-PBE was carried out for a relaxed structure of Te4Mo3WSe2S2.

Properties
- Energy above the lowest structure with this stoichiometry: 0.019 eV/f.u.
- Formation energy: -535 meV/atom
- DFT total energy: -6.56 eV/atom

abc: 3.396 3.396 38.697
angles: 90.00 90.00 120.00
Fractional positions:
Te1 0.000 0.000 0.330
Te2 0.000 0.000 0.706
Te3 0.000 0.000 0.233
Te4 0.000 0.000 0.609
Mo1 0.000 0.000 0.094
Mo2 0.333 0.667 0.282
Mo3 0.333 0.667 0.658
W1 0.000 0.000 0.470
Se1 0.333 0.667 0.051
Se2 0.333 0.667 0.137
S1 0.333 0.667 0.431
S2 0.333 0.667 0.509

***

A plane-wave DFT calculation with GGA-PBE was carried out for a relaxed structure of Ce5Dy2O13.

Properties
- Formation energy: -3906 meV/atom
- DFT total energy: -8.62 eV/atom

abc: 22.390 22.390 22.390
angles: 9.80 9.80 9.80
Fractional positions:
Ce1 0.428 0.428 0.428
Ce2 0.142 0.142 0.142
Ce3 0.857 0.857 0.857
Ce4 0.571 0.571 0.571
Ce5 0.285 0.285 0.285
Dy1 0.999 0.999 0.999
Dy2 0.716 0.716 0.716
O1 0.393 0.393 0.393
O2 0.031 0.031 0.031
O3 0.107 0.107 0.107
O4 0.750 0.750 0.750
O5 0.464 0.464 0.464
O6 0.179 0.179 0.179
O7 0.822 0.822 0.822
O8 0.536 0.536 0.536
O9 0.893 0.893 0.893
O10 0.250 0.250 0.250
O11 0.326 0.326 0.326
O12 0.607 0.607 0.607
O13 0.964 0.964 0.964

***

A plane-wave DFT calculation with GGA-PBE was carried out for a relaxed structure of Mg6CuCO8.

Properties
- Energy above the lowest structure with this stoichiometry: 0.457 eV/f.u.
- Formation energy: -2126 meV/atom
- DFT total energy: -5.69 eV/atom

abc: 8.500 4.209 4.209
angles: 90.00 90.00 90.00
Fractional positions:
Mg1 0.500 0.000 0.000
Mg2 0.500 0.500 0.500
Mg3 0.244 0.000 0.500
Mg4 0.756 0.000 0.500
Mg5 0.244 0.500 0.000
Mg6 0.756 0.500 0.000
Cu1 0.000 0.000 0.000
C1 0.000 0.500 0.500
O1 0.250 0.000 0.000
O2 0.750 0.000 0.000
O3 0.249 0.500 0.500
O4 0.751 0.500 0.500
O5 0.000 0.000 0.500
O6 0.500 0.000 0.500
O7 0.000 0.500 0.000
O8 0.500 0.500 0.000

***

A plane-wave DFT calculation with GGA-PBE was carried out for a relaxed structure of Ca2TiO4.

Properties
- Formation energy: -3449 meV/atom
- DFT total energy: -7.58 eV/atom

abc: 6.584 6.584 6.584
angles: 145.95 145.95 48.93
Fractional positions:
Ca1 0.353 0.353 0.000
Ca2 0.647 0.647 0.000
Ti1 0.000 0.000 0.000
O1 0.000 0.500 0.500
O2 0.500 0.000 0.500
O3 0.166 0.166 0.000
O4 0.834 0.834 0.000

***

A plane-wave DFT calculation with GGA-PBE was carried out for a relaxed structure of AlBiTeCl4.

Properties
- Formation energy: -1477 meV/atom
- DFT total energy: -3.72 eV/atom

abc: 10.658 10.658 10.658
angles: 107.63 107.63 113.22
Fractional positions:
Al1 0.340 0.113 0.374
Al2 0.887 0.261 0.227
Al3 0.034 0.660 0.773
Al4 0.739 0.966 0.626
Bi1 0.538 0.432 0.219
Bi2 0.568 0.787 0.106
Bi3 0.681 0.462 0.894
Bi4 0.213 0.319 0.781
Te1 0.791 0.690 0.210
Te2 0.419 0.209 0.899
Te3 0.480 0.581 0.790
Te4 0.310 0.520 0.101
Cl1 0.789 0.030 0.464
Cl2 0.566 0.325 0.536
Cl3 0.921 0.399 0.113
Cl4 0.970 0.434 0.759
Cl5 0.937 0.745 0.907
Cl6 0.193 0.079 0.478
Cl7 0.347 0.908 0.289
Cl8 0.092 0.381 0.439
Cl9 0.601 0.714 0.522
Cl10 0.255 0.161 0.192
Cl11 0.286 0.807 0.887
Cl12 0.943 0.653 0.561
Cl13 0.970 0.063 0.808
Cl14 0.839 0.030 0.093
Cl15 0.675 0.211 0.241
Cl16 0.619 0.057 0.711

***

A plane-wave DFT calculation with GGA-PBE was carried out for a relaxed structure of Nb6Co16Si7.

Properties
- Formation energy: -532 meV/atom
- DFT total energy: -7.87 eV/atom

abc: 7.911 7.911 7.911
angles: 60.00 60.00 60.00
Fractional positions:
Nb1 0.203 0.797 0.203
Nb2 0.203 0.797 0.797
Nb3 0.797 0.203 0.203
Nb4 0.797 0.797 0.203
Nb5 0.203 0.203 0.797
Nb6 0.797 0.203 0.797
Co1 0.167 0.167 0.167
Co2 0.500 0.833 0.833
Co3 0.833 0.500 0.833
Co4 0.833 0.833 0.500
Co5 0.167 0.500 0.167
Co6 0.167 0.167 0.500
Co7 0.500 0.167 0.167
Co8 0.833 0.833 0.833
Co9 0.381 0.381 0.381
Co10 0.144 0.619 0.619
Co11 0.619 0.144 0.619
Co12 0.619 0.619 0.144
Co13 0.381 0.856 0.381
Co14 0.381 0.381 0.856
Co15 0.856 0.381 0.381
Co16 0.619 0.619 0.619
Si1 0.500 0.500 0.500
Si2 0.000 0.500 0.000
Si3 0.500 0.000 0.000
Si4 0.000 0.500 0.500
Si5 0.500 0.000 0.500
Si6 0.000 0.000 0.500
Si7 0.500 0.500 0.000

***

A plane-wave DFT calculation with GGA-PBE was carried out for a relaxed structure of Ca3Al2SO16.

Properties
- Formation energy: -1628 meV/atom
- DFT total energy: -5.53 eV/atom

abc: 8.552 8.552 9.945
angles: 85.84 85.84 65.03
Fractional positions:
Ca1 0.029 0.482 0.305
Ca2 0.518 0.971 0.195
Ca3 0.971 0.518 0.695
Ca4 0.482 0.029 0.805
Ca5 0.024 0.976 0.750
Ca6 0.976 0.024 0.250
Al1 0.308 0.097 0.499
Al2 0.903 0.692 0.001
Al3 0.692 0.903 0.501
Al4 0.097 0.308 0.999
S1 0.657 0.343 0.750
S2 0.343 0.657 0.250
O1 0.729 0.991 0.331
O2 0.009 0.271 0.169
O3 0.271 0.009 0.669
O4 0.991 0.729 0.831
O5 0.873 0.924 0.579
O6 0.076 0.127 0.921
O7 0.127 0.076 0.421
O8 0.924 0.873 0.079
O9 0.861 0.680 0.487
O10 0.320 0.139 0.013
O11 0.139 0.320 0.513
O12 0.680 0.861 0.987
O13 0.169 0.678 0.307
O14 0.322 0.831 0.193
O15 0.831 0.322 0.693
O16 0.678 0.169 0.807
O17 0.522 0.414 0.648
O18 0.586 0.478 0.852
O19 0.478 0.586 0.352
O20 0.414 0.522 0.148
O21 0.134 0.694 0.633
O22 0.306 0.866 0.867
O23 0.866 0.306 0.367
O24 0.694 0.134 0.133
O25 0.217 0.285 0.825
O26 0.715 0.783 0.675
O27 0.783 0.715 0.175
O28 0.285 0.217 0.325
O29 0.510 0.107 0.550
O30 0.893 0.490 0.950
O31 0.490 0.893 0.450
O32 0.107 0.510 0.050

***

A plane-wave DFT calculation with GGA-PBE was carried out for a relaxed structure of Te2MoW3S6.

Properties
- Energy above the lowest structure with this stoichiometry: 0.452 eV/f.u.
- Formation energy: -836 meV/atom
- DFT total energy: -7.32 eV/atom

abc: 3.274 3.274 37.225
angles: 90.00 90.00 120.00
Fractional positions:
Te1 0.000 0.000 0.710
Te2 0.000 0.000 0.605
Mo1 0.000 0.000 0.470
W1 0.000 0.000 0.094
W2 0.333 0.667 0.282
W3 0.333 0.667 0.658
S1 0.000 0.000 0.323
S2 0.333 0.667 0.052
S3 0.333 0.667 0.428
S4 0.333 0.667 0.135
S5 0.333 0.667 0.511
S6 0.000 0.000 0.240

***

A plane-wave DFT calculation with GGA-PBE was carried out for a relaxed structure of SmPO4.

Properties
- Formation energy: -3455 meV/atom
- DFT total energy: -7.98 eV/atom

abc: 6.965 6.402 8.116
angles: 54.20 90.00 90.00
Fractional positions:
Sm1 0.655 0.188 0.216
Sm2 0.155 0.812 0.284
Sm3 0.345 0.812 0.784
Sm4 0.845 0.188 0.716
P1 0.660 0.691 0.198
P2 0.160 0.309 0.302
P3 0.340 0.309 0.802
P4 0.840 0.691 0.698
O1 0.710 0.412 0.377
O2 0.210 0.588 0.123
O3 0.290 0.588 0.623
O4 0.790 0.412 0.877
O5 0.600 0.658 0.030
O6 0.100 0.342 0.470
O7 0.400 0.342 0.970
O8 0.900 0.658 0.530
O9 0.997 0.815 0.750
O10 0.497 0.185 0.750
O11 0.003 0.185 0.250
O12 0.503 0.815 0.250
O13 0.666 0.882 0.617
O14 0.166 0.118 0.883
O15 0.334 0.118 0.383
O16 0.834 0.882 0.117

***

A plane-wave DFT calculation with GGA-PBE was carried out for a relaxed structure of YErMg2.

Properties
- Formation energy: -85 meV/atom
- DFT total energy: -3.64 eV/atom

abc: 5.358 5.358 5.358
angles: 60.00 60.00 60.00
Fractional positions:
Y1 0.500 0.500 0.500
Er1 0.000 0.000 0.000
Mg1 0.750 0.750 0.750
Mg2 0.250 0.250 0.250

***

A plane-wave DFT calculation with GGA-PBE was carried out for a relaxed structure of Sb.

Properties
- Energy above the lowest structure with this stoichiometry: 0.000 eV/f.u.
- Formation energy: 0 meV/atom
- DFT total energy: -4.13 eV/atom

abc: 4.615 4.615 4.615
angles: 56.75 56.75 56.75
Fractional positions:
Sb1 0.732 0.732 0.732
Sb2 0.268 0.268 0.268